Here is a geometry-optimized EuCd2In structure from Materials Project. Energies are from PBE.

abc: 5.309 5.309 5.309
angles: 60.00 60.00 60.00
Fractional coordinates of all 4 atoms:
Eu 0.000 0.000 0.000
Cd 0.250 0.250 0.250
Cd 0.750 0.750 0.750
In 0.500 0.500 0.500

- Volume: 105.8 Å³ per cell
- E: -4.01 eV/atom
- SG: Fm-3m, No. 225
- Calculated formation energy: -0.301 eV/atom